A plane-wave DFT calculation with GGA-PBE was carried out for an optimized crystal structure of Y2ScN3.

Structure (POSCAR):
```
Y2ScN3
1.0
6.1044 0.1794 -0.0919
-9.4784 4.9110 0.0000
-0.5324 -1.0275 11.9565
N Y Sc
12 8 4
Direct
0.2356 0.4442 0.8962 N
0.0000 0.6318 0.7500 N
0.0000 0.0269 0.2500 N
0.6624 0.9404 0.9708 N
0.2356 0.7914 0.3962 N
0.3376 0.2780 0.5292 N
0.7644 0.5558 0.1038 N
0.6624 0.7220 0.4708 N
0.0000 0.9731 0.7500 N
0.0000 0.3682 0.2500 N
0.7644 0.2086 0.6038 N
0.3376 0.0596 0.0292 N
0.5471 0.5694 0.6332 Y
0.4529 0.4306 0.3668 Y
0.5927 0.9168 0.5778 Y
0.5471 0.9777 0.1332 Y
0.4073 0.0832 0.4222 Y
0.4529 0.0223 0.8668 Y
0.5927 0.6759 0.0778 Y
0.4073 0.3241 0.9222 Y
0.5587 0.2811 0.1629 Sc
0.4413 0.7224 0.3371 Sc
0.5587 0.2776 0.6629 Sc
0.4413 0.7189 0.8371 Sc
```

* VASP energy: -8.8120 eV/atom
* calculated volume: 378 Å³/cell
* ΔE_f: -1613 meV/atom
* SG: C2/c
* MP2020-corrected energy: -215.82 eV/cell
* theoretical density: 4.7 g/cm3